The following is a DFT calculation (PBE) of a relaxed CaNd2BeO5 crystal.

Calculated values
- Calculated total energy: -7.574 eV per atom
- Formation energy: -3.5088 eV per atom

abc: 9.522 6.531 7.211
angles: 90.00 90.00 90.00
Positions (direct):
Ca: 0.176 0.078 0.000
Ca: 0.324 0.578 0.500
Ca: 0.676 0.422 0.000
Ca: 0.824 0.922 0.500
Nd: 0.024 0.598 0.766
Nd: 0.172 0.073 0.548
Nd: 0.328 0.573 0.048
Nd: 0.476 0.098 0.266
Nd: 0.524 0.902 0.766
Nd: 0.672 0.427 0.548
Nd: 0.828 0.927 0.048
Nd: 0.976 0.402 0.266
Be: 0.103 0.807 0.269
Be: 0.397 0.307 0.769
Be: 0.603 0.693 0.269
Be: 0.897 0.193 0.769
O: 0.011 0.019 0.271
O: 0.071 0.688 0.078
O: 0.073 0.693 0.463
O: 0.223 0.360 0.771
O: 0.226 0.333 0.269
O: 0.274 0.833 0.769
O: 0.277 0.860 0.271
O: 0.427 0.193 0.963
O: 0.429 0.188 0.578
O: 0.489 0.519 0.771
O: 0.511 0.481 0.271
O: 0.571 0.812 0.078
O: 0.573 0.807 0.463
O: 0.723 0.140 0.771
O: 0.726 0.167 0.269
O: 0.774 0.667 0.769
O: 0.777 0.640 0.271
O: 0.927 0.307 0.963
O: 0.929 0.312 0.578
O: 0.989 0.981 0.771

---

The following is a DFT calculation (PBE) of a relaxed CaBeO3 crystal.

Calculated values
- Calculated total energy: -5.937 eV per atom
- Formation energy: -2.2315 eV per atom

abc: 3.615 3.615 3.615
angles: 90.00 90.00 90.00
Positions (direct):
Ca: 0.000 0.000 0.000
Be: 0.500 0.500 0.500
O: 0.000 0.500 0.500
O: 0.500 0.000 0.500
O: 0.500 0.500 0.000

---

The following is a DFT calculation (PBE) of a relaxed CaBePO5 crystal.

Calculated values
- Calculated total energy: -6.951 eV per atom
- Formation energy: -2.8936 eV per atom

abc: 4.915 7.760 9.791
angles: 90.00 90.26 90.00
Positions (direct):
Ca: 0.003 0.118 0.170
Ca: 0.003 0.382 0.670
Ca: 0.997 0.618 0.330
Ca: 0.997 0.882 0.830
Be: 0.460 0.086 0.662
Be: 0.460 0.414 0.162
Be: 0.540 0.586 0.838
Be: 0.540 0.914 0.338
P: 0.470 0.732 0.582
P: 0.470 0.768 0.082
P: 0.530 0.232 0.918
P: 0.530 0.268 0.418
O: 0.214 0.594 0.814
O: 0.214 0.906 0.314
O: 0.245 0.603 0.543
O: 0.245 0.897 0.043
O: 0.331 0.157 0.807
O: 0.331 0.343 0.307
O: 0.332 0.604 0.143
O: 0.332 0.896 0.643
O: 0.355 0.218 0.543
O: 0.355 0.282 0.043
O: 0.645 0.718 0.957
O: 0.645 0.782 0.457
O: 0.668 0.104 0.357
O: 0.668 0.396 0.857
O: 0.669 0.657 0.693
O: 0.669 0.843 0.193
O: 0.755 0.103 0.957
O: 0.755 0.397 0.457
O: 0.786 0.094 0.686
O: 0.786 0.406 0.186

---

The following is a DFT calculation (PBE) of a relaxed Ca2Be4P3O20 crystal.

Calculated values
- Calculated total energy: -6.479 eV per atom
- Formation energy: -1.9636 eV per atom

abc: 6.700 15.926 15.850
angles: 90.00 100.40 90.00
Positions (direct):
Ca: 0.184 0.090 0.058
Ca: 0.184 0.410 0.558
Ca: 0.309 0.081 0.433
Ca: 0.309 0.419 0.933
Ca: 0.691 0.581 0.067
Ca: 0.691 0.919 0.567
Ca: 0.816 0.590 0.442
Ca: 0.816 0.910 0.942
Be: 0.079 0.665 0.178
Be: 0.079 0.835 0.678
Be: 0.109 0.733 0.881
Be: 0.109 0.767 0.381
Be: 0.404 0.736 0.630
Be: 0.404 0.764 0.130
Be: 0.426 0.664 0.330
Be: 0.426 0.836 0.830
Be: 0.574 0.164 0.170
Be: 0.574 0.336 0.670
Be: 0.596 0.236 0.870
Be: 0.596 0.264 0.370
Be: 0.891 0.233 0.619
Be: 0.891 0.267 0.119
Be: 0.921 0.165 0.322
Be: 0.921 0.335 0.822
P: 0.226 0.618 0.028
P: 0.226 0.882 0.528
P: 0.247 0.219 0.245
P: 0.247 0.281 0.745
P: 0.285 0.622 0.483
P: 0.285 0.878 0.983
P: 0.715 0.122 0.017
P: 0.715 0.378 0.517
P: 0.753 0.719 0.255
P: 0.753 0.781 0.755
P: 0.774 0.118 0.472
P: 0.774 0.382 0.972
O: 0.014 0.038 0.832
O: 0.014 0.462 0.332
O: 0.060 0.615 0.086
O: 0.060 0.885 0.586
O: 0.089 0.227 0.689
O: 0.089 0.273 0.189
O: 0.096 0.100 0.870
O: 0.096 0.400 0.370
O: 0.102 0.679 0.440
O: 0.102 0.821 0.940
O: 0.132 0.651 0.940
O: 0.132 0.849 0.440
O: 0.151 0.161 0.307
O: 0.151 0.339 0.807
O: 0.184 0.538 0.497
O: 0.184 0.962 0.997
O: 0.201 0.749 0.675
O: 0.201 0.751 0.175
O: 0.252 0.633 0.254
O: 0.252 0.867 0.754
O: 0.307 0.749 0.834
O: 0.307 0.751 0.334
O: 0.322 0.531 0.022
O: 0.322 0.969 0.522
O: 0.330 0.195 0.536
O: 0.330 0.305 0.036
O: 0.343 0.157 0.186
O: 0.343 0.343 0.686
O: 0.375 0.532 0.803
O: 0.375 0.968 0.303
O: 0.399 0.658 0.567
O: 0.399 0.842 0.067
O: 0.406 0.225 0.797
O: 0.406 0.275 0.297
O: 0.409 0.674 0.074
O: 0.409 0.826 0.574
O: 0.442 0.612 0.421
O: 0.442 0.888 0.921
O: 0.454 0.055 0.706
O: 0.454 0.445 0.206
O: 0.546 0.555 0.794
O: 0.546 0.945 0.294
O: 0.558 0.112 0.079
O: 0.558 0.388 0.579
O: 0.591 0.174 0.426
O: 0.591 0.326 0.926
O: 0.594 0.725 0.703
O: 0.594 0.775 0.203
O: 0.601 0.158 0.933
O: 0.601 0.342 0.433
O: 0.625 0.032 0.697
O: 0.625 0.468 0.197
O: 0.657 0.657 0.314
O: 0.657 0.843 0.814
O: 0.670 0.695 0.964
O: 0.670 0.805 0.464
O: 0.678 0.031 0.478
O: 0.678 0.469 0.978
O: 0.693 0.249 0.666
O: 0.693 0.251 0.166
O: 0.748 0.133 0.246
O: 0.748 0.367 0.746
O: 0.799 0.249 0.825
O: 0.799 0.251 0.325
O: 0.816 0.038 0.003
O: 0.816 0.462 0.503
O: 0.849 0.661 0.193
O: 0.849 0.839 0.693
O: 0.868 0.151 0.560
O: 0.868 0.349 0.060
O: 0.898 0.179 0.060
O: 0.898 0.321 0.560
O: 0.904 0.600 0.630
O: 0.904 0.900 0.130
O: 0.911 0.727 0.811
O: 0.911 0.773 0.311
O: 0.940 0.115 0.414
O: 0.940 0.385 0.914
O: 0.986 0.538 0.668
O: 0.986 0.962 0.168

---

The following is a DFT calculation (PBE) of a relaxed CaPr2BeO5 crystal.

Calculated values
- Calculated total energy: -7.552 eV per atom
- Formation energy: -3.4843 eV per atom

abc: 9.579 6.566 7.252
angles: 90.00 90.00 90.00
Positions (direct):
Ca: 0.176 0.078 0.000
Ca: 0.324 0.578 0.500
Ca: 0.676 0.422 0.000
Ca: 0.824 0.922 0.500
Pr: 0.024 0.598 0.767
Pr: 0.172 0.074 0.548
Pr: 0.328 0.574 0.048
Pr: 0.476 0.098 0.267
Pr: 0.524 0.902 0.767
Pr: 0.672 0.426 0.548
Pr: 0.828 0.926 0.048
Pr: 0.976 0.402 0.267
Be: 0.104 0.807 0.269
Be: 0.396 0.307 0.769
Be: 0.604 0.693 0.269
Be: 0.896 0.193 0.769
O: 0.012 0.019 0.271
O: 0.071 0.689 0.079
O: 0.074 0.693 0.462
O: 0.223 0.360 0.771
O: 0.227 0.334 0.270
O: 0.273 0.834 0.770
O: 0.277 0.860 0.271
O: 0.426 0.193 0.962
O: 0.429 0.189 0.579
O: 0.488 0.519 0.771
O: 0.512 0.481 0.271
O: 0.571 0.811 0.079
O: 0.574 0.807 0.462
O: 0.723 0.140 0.771
O: 0.727 0.166 0.270
O: 0.773 0.666 0.770
O: 0.777 0.640 0.271
O: 0.926 0.307 0.962
O: 0.929 0.311 0.579
O: 0.988 0.981 0.771

---

The following is a DFT calculation (PBE) of a relaxed CaTi2Be3Si3O12 crystal.

Calculated values
- Calculated total energy: -7.641 eV per atom
- Formation energy: -3.0496 eV per atom

abc: 8.212 7.595 16.388
angles: 90.00 120.00 90.00
Positions (direct):
Ca: 0.001 0.004 0.251
Ca: 0.001 0.496 0.751
Ca: 0.999 0.504 0.249
Ca: 0.999 0.996 0.749
Ti: 0.328 0.068 0.578
Ti: 0.328 0.432 0.078
Ti: 0.336 0.060 0.088
Ti: 0.336 0.440 0.588
Ti: 0.664 0.560 0.412
Ti: 0.664 0.940 0.912
Ti: 0.672 0.568 0.922
Ti: 0.672 0.932 0.422
Be: 0.025 0.157 0.920
Be: 0.025 0.343 0.420
Be: 0.316 0.155 0.737
Be: 0.316 0.345 0.237
Be: 0.340 0.660 0.908
Be: 0.340 0.840 0.408
Be: 0.660 0.160 0.592
Be: 0.660 0.340 0.092
Be: 0.684 0.655 0.763
Be: 0.684 0.845 0.263
Be: 0.975 0.657 0.580
Be: 0.975 0.843 0.080
Si: 0.037 0.731 0.424
Si: 0.037 0.769 0.924
Si: 0.310 0.732 0.231
Si: 0.310 0.768 0.731
Si: 0.350 0.234 0.406
Si: 0.350 0.266 0.906
Si: 0.650 0.734 0.094
Si: 0.650 0.766 0.594
Si: 0.690 0.232 0.269
Si: 0.690 0.268 0.769
Si: 0.963 0.231 0.076
Si: 0.963 0.269 0.576
O: 0.086 0.244 0.521
O: 0.086 0.256 0.021
O: 0.112 0.245 0.190
O: 0.112 0.255 0.690
O: 0.121 0.246 0.365
O: 0.121 0.254 0.865
O: 0.132 0.535 0.448
O: 0.132 0.965 0.948
O: 0.203 0.623 0.646
O: 0.203 0.877 0.146
O: 0.207 0.625 0.956
O: 0.207 0.875 0.456
O: 0.229 0.744 0.305
O: 0.229 0.756 0.805
O: 0.262 0.537 0.183
O: 0.262 0.963 0.683
O: 0.398 0.035 0.384
O: 0.398 0.465 0.884
O: 0.413 0.125 0.851
O: 0.413 0.375 0.351
O: 0.457 0.239 0.022
O: 0.457 0.261 0.522
O: 0.459 0.243 0.705
O: 0.459 0.257 0.205
O: 0.541 0.743 0.795
O: 0.541 0.757 0.295
O: 0.543 0.739 0.478
O: 0.543 0.761 0.978
O: 0.587 0.625 0.649
O: 0.587 0.875 0.149
O: 0.602 0.535 0.116
O: 0.602 0.965 0.616
O: 0.738 0.037 0.317
O: 0.738 0.463 0.817
O: 0.771 0.244 0.195
O: 0.771 0.256 0.695
O: 0.793 0.125 0.544
O: 0.793 0.375 0.044
O: 0.797 0.123 0.854
O: 0.797 0.377 0.354
O: 0.868 0.035 0.052
O: 0.868 0.465 0.552
O: 0.879 0.746 0.135
O: 0.879 0.754 0.635
O: 0.888 0.745 0.310
O: 0.888 0.755 0.810
O: 0.914 0.744 0.979
O: 0.914 0.756 0.479

---

The following is a DFT calculation (PBE) of a relaxed Ca2YBeO5 crystal.

Calculated values
- Calculated total energy: -7.170 eV per atom
- Formation energy: -3.2230 eV per atom

abc: 9.220 7.114 6.378
angles: 90.00 90.00 90.00
Positions (direct):
Ca: 0.174 0.024 0.088
Ca: 0.174 0.476 0.088
Ca: 0.326 0.524 0.588
Ca: 0.326 0.976 0.588
Ca: 0.674 0.024 0.412
Ca: 0.674 0.476 0.412
Ca: 0.826 0.524 0.912
Ca: 0.826 0.976 0.912
Y: 0.028 0.250 0.596
Y: 0.472 0.750 0.096
Y: 0.528 0.250 0.904
Y: 0.972 0.750 0.404
Be: 0.104 0.750 0.810
Be: 0.396 0.250 0.310
Be: 0.604 0.750 0.690
Be: 0.896 0.250 0.190
O: 0.010 0.750 0.032
O: 0.067 0.558 0.686
O: 0.067 0.942 0.686
O: 0.223 0.250 0.369
O: 0.223 0.750 0.326
O: 0.277 0.250 0.826
O: 0.277 0.750 0.869
O: 0.433 0.058 0.186
O: 0.433 0.442 0.186
O: 0.490 0.250 0.532
O: 0.510 0.750 0.468
O: 0.567 0.558 0.814
O: 0.567 0.942 0.814
O: 0.723 0.250 0.131
O: 0.723 0.750 0.174
O: 0.777 0.250 0.674
O: 0.777 0.750 0.631
O: 0.933 0.058 0.314
O: 0.933 0.442 0.314
O: 0.990 0.250 0.968

---

The following is a DFT calculation (PBE) of a relaxed CaBe2P2 crystal.

Calculated values
- Calculated total energy: -4.791 eV per atom
- Formation energy: -0.7291 eV per atom

abc: 3.744 3.744 6.616
angles: 90.00 90.00 120.00
Positions (direct):
Ca: 0.000 0.000 0.000
Be: 0.333 0.667 0.376
Be: 0.667 0.333 0.624
P: 0.333 0.667 0.715
P: 0.667 0.333 0.285